# Rb8HfMo6O24 (PBE+U, optimized geometry)
# * calculated formation energy: -2.313 eV/atom
# * mass density: 3.92 Mg/m³
# * magnetic moment: 0.007 μB per cell
# * space-group type: C2/m
data_Rb8HfMo6O24
_cell_length_a 10.983
_cell_length_b 10.983
_cell_length_c 8.144
_cell_angle_alpha 98.52
_cell_angle_beta 98.52
_cell_angle_gamma 124.11
_space_group_name_H-M_alt 'P 1'
_space_group_IT_number 1
_space_group_name_Hall 'P 1'
loop_
_atom_site_label
_atom_site_type_symbol
_atom_site_fract_x
_atom_site_fract_y
_atom_site_fract_z
Rb1 Rb 0.019 0.366 0.610
Rb2 Rb 0.165 0.835 0.000
Rb3 Rb 0.287 0.287 0.855
Rb4 Rb 0.366 0.019 0.610
Rb5 Rb 0.634 0.981 0.390
Rb6 Rb 0.713 0.713 0.145
Rb7 Rb 0.835 0.165 0.000
Rb8 Rb 0.981 0.634 0.390
Hf1 Hf 0.500 0.500 0.500
Mo1 Mo 0.117 0.117 0.295
Mo2 Mo 0.242 0.552 0.215
Mo3 Mo 0.448 0.758 0.785
Mo4 Mo 0.552 0.242 0.215
Mo5 Mo 0.758 0.448 0.785
Mo6 Mo 0.883 0.883 0.705
O1 O 0.055 0.906 0.690
O2 O 0.088 0.433 0.298
O3 O 0.094 0.945 0.310
O4 O 0.150 0.150 0.095
O5 O 0.182 0.472 0.986
O6 O 0.263 0.717 0.727
O7 O 0.283 0.737 0.273
O8 O 0.289 0.289 0.468
O9 O 0.412 0.561 0.312
O10 O 0.433 0.088 0.298
O11 O 0.439 0.588 0.688
O12 O 0.472 0.182 0.986
O13 O 0.528 0.818 0.014
O14 O 0.561 0.412 0.312
O15 O 0.567 0.912 0.702
O16 O 0.588 0.439 0.688
O17 O 0.711 0.711 0.532
O18 O 0.717 0.263 0.727
O19 O 0.737 0.283 0.273
O20 O 0.818 0.528 0.014
O21 O 0.850 0.850 0.905
O22 O 0.906 0.055 0.690
O23 O 0.912 0.567 0.702
O24 O 0.945 0.094 0.310